Entry 1:
A plane-wave DFT calculation with PBE with a Hubbard U was carried out for crystalline Na5Co2PC4O16 at its relaxed geometry. Values from VASP.

**MP2020-corrected energy**: -7.019 eV per atom
**Distance to the lowest polymorph of the same formula**: 0 meV/atom
**Volume**: 12.34 Å³/atom
**VASP energy**: -6.5091 eV/atom

Geometry as Quantum ESPRESSO input:
```
&SYSTEM
  ibrav = 0, nat = 56, ntyp = 5
/
ATOMIC_SPECIES
Na 22.99 Na.upf
Co 58.93 Co.upf
P 30.97 P.upf
C 12.01 C.upf
O 16.00 O.upf
CELL_PARAMETERS angstrom
-7.0727 6.9926 0.0000
7.0727 0.0000 6.9859
7.0727 6.9926 0.0000
ATOMIC_POSITIONS angstrom
Na -1.8064 5.3727 2.2651
Na 1.7380 4.7210 1.8633
Na 1.7299 8.6125 5.7581
Na 1.7380 12.7605 1.6297
Na 5.2743 1.2247 5.1227
Na 5.2662 5.1162 1.2278
Na 5.2743 9.2642 5.3562
Na 5.8282 8.7407 1.7465
Na 8.8026 8.8690 4.7208
Na 9.3646 5.2444 5.2395
Co 3.5346 3.5185 6.9614
Co -0.0018 7.0148 0.0246
Co 3.5346 6.9704 3.5176
Co -0.0018 10.4667 3.4684
P 1.7071 1.7481 1.7465
P 5.2434 12.2370 5.2395
C 0.5210 10.0035 0.4924
C 0.5210 7.4780 3.0005
C 3.0591 7.4615 0.4669
C 3.0592 10.0200 3.0261
C 4.0573 6.5072 6.4935
C 4.0573 3.9817 3.9854
C 6.5955 3.9652 6.5190
C 6.5955 6.5237 3.9599
O -3.2398 5.5385 0.3513
O -0.3089 10.2439 1.4496
O -0.3089 7.2375 2.0434
O -0.2836 4.9435 0.3646
O 0.2965 8.4467 3.8443
O 0.8215 2.6523 2.6427
O 0.8215 0.8440 0.8503
O 1.5522 6.7204 3.1690
O 1.5522 10.7611 0.3240
O 2.0577 6.6493 0.2820
O 2.0577 10.8322 3.2110
O 2.6091 0.8568 2.6498
O 2.6091 2.6395 0.8432
O 3.2274 6.7476 5.5363
O 3.2274 3.7413 4.9426
O 3.2527 9.0416 3.8576
O 3.8329 4.9504 3.1416
O 3.8946 7.2556 1.4381
O 3.8946 10.2258 2.0549
O 4.3579 13.1412 4.3432
O 4.3579 11.3329 6.1357
O 5.0885 3.2241 3.8170
O 5.0885 7.2648 6.6620
O 5.5940 3.1530 6.7039
O 5.5940 7.3359 3.7750
O 6.1454 13.1284 6.1428
O 6.1454 11.3457 4.3361
O 6.7890 5.5453 3.1284
O 7.3692 9.0348 6.6346
O 7.4309 6.7296 4.9311
O 7.4309 3.7593 5.5478
O 10.3254 8.4398 6.6213
```

Entry 2:
A plane-wave DFT calculation with PBE with a Hubbard U was carried out for crystalline CoPO4 at its relaxed geometry. Values from VASP.

**MP2020-corrected energy**: -7.346 eV per atom
**Volume**: 11.35 Å³/atom
**VASP energy**: -6.6147 eV/atom

Geometry as Quantum ESPRESSO input:
```
&SYSTEM
  ibrav = 0, nat = 24, ntyp = 3
/
ATOMIC_SPECIES
Co 58.93 Co.upf
P 30.97 P.upf
O 16.00 O.upf
CELL_PARAMETERS angstrom
-0.3554 3.9996 2.5544
-5.8752 1.2574 -2.7862
-3.9375 -4.3880 6.3226
ATOMIC_POSITIONS angstrom
Co -2.9376 0.6287 -1.3931
Co 0.0000 0.0000 0.0000
Co -5.0840 0.4345 3.0454
Co -2.1464 -0.1942 4.4385
P -2.3271 1.3942 1.6007
P -6.0238 3.3748 2.4184
P -4.1442 -2.5057 3.6724
P -7.8410 -0.5251 4.4902
O -2.1927 2.8856 1.9903
O -3.1780 1.2752 0.3188
O -0.9220 0.7923 1.3886
O -5.3052 4.0587 1.2119
O -3.0268 0.4977 2.6715
O -5.0647 2.2759 2.9225
O -7.3207 2.7587 1.8526
O -6.0198 0.3252 1.0336
O -4.1483 0.5439 5.0572
O -2.8474 -1.8897 4.2382
O -5.1034 -1.4068 3.1684
O -7.1413 0.3714 3.4194
O -4.8628 -3.1897 4.8790
O -9.2460 0.0767 4.7022
O -6.9900 -0.4061 5.7721
O -7.9754 -2.0165 4.1006
```

Entry 3:
A plane-wave DFT calculation with PBE with a Hubbard U was carried out for crystalline Sr2MgZrVO6 at its relaxed geometry. Values from VASP.

**MP2020-corrected energy**: -7.706 eV per atom
**Distance to the lowest polymorph of the same formula**: 0 meV/atom
**Volume**: 15.45 Å³/atom
**VASP energy**: -7.1768 eV/atom

Geometry as Quantum ESPRESSO input:
```
&SYSTEM
  ibrav = 0, nat = 11, ntyp = 5
/
ATOMIC_SPECIES
Sr 87.62 Sr.upf
Mg 24.30 Mg.upf
Zr 91.22 Zr.upf
V 50.94 V.upf
O 16.00 O.upf
CELL_PARAMETERS angstrom
0.1462 5.6132 -0.3706
2.8994 -2.9743 4.6181
3.5025 -2.5030 -4.7049
ATOMIC_POSITIONS angstrom
Sr 2.9318 0.3854 1.9551
Sr 2.2184 0.4865 -1.6139
Mg 1.3629 3.3275 0.5452
Zr 3.9747 -2.6476 -0.3924
V 3.2594 3.2674 -4.3062
O 3.2657 -2.0956 1.5054
O 4.2911 2.2270 -2.7667
O 5.7390 -1.6770 -0.3428
O 1.1790 1.3511 0.4787
O 2.2343 3.7180 -1.3338
O 4.2869 1.0298 -0.1252
```

Entry 4:
A plane-wave DFT calculation with PBE with a Hubbard U was carried out for crystalline Li5CrP2O8F2 at its relaxed geometry. Values from VASP.

**MP2020-corrected energy**: -6.837 eV per atom
**Volume**: 10.55 Å³/atom
**VASP energy**: -6.3692 eV/atom

Geometry as Quantum ESPRESSO input:
```
&SYSTEM
  ibrav = 0, nat = 54, ntyp = 5
/
ATOMIC_SPECIES
Li 6.94 Li.upf
Cr 52.00 Cr.upf
P 30.97 P.upf
O 16.00 O.upf
F 19.00 F.upf
CELL_PARAMETERS angstrom
5.0286 -8.7098 0.0000
5.0286 8.7098 0.0000
0.0000 0.0000 6.5051
ATOMIC_POSITIONS angstrom
Li 5.0382 -5.8055 3.2753
Li 0.0000 0.0000 3.5581
Li 0.0000 0.0000 6.2858
Li 5.0286 -2.9033 3.0121
Li 5.0286 -2.9033 0.2897
Li 7.5372 -1.4438 3.2753
Li 2.5104 -1.4605 3.2753
Li 4.7795 5.9391 4.8231
Li 7.3595 -4.5030 1.7422
Li 2.4777 -4.1220 1.7422
Li 5.0286 2.9033 6.2908
Li 5.0286 2.9033 3.1653
Li 2.5240 1.1696 4.8231
Li 7.7823 1.6010 4.8231
Li 5.2486 -0.0847 1.7422
Cr 5.0368 -5.8106 0.0330
Cr 7.5423 -1.4425 0.0330
Cr 2.5066 -1.4567 0.0330
P 7.8506 1.3442 1.7262
P 2.2674 1.2389 1.7262
P 7.2505 -4.2366 4.8487
P 4.9678 6.1267 1.7262
P 2.7629 -4.1607 4.8487
P 5.0724 -0.3124 4.8487
O 3.7712 -5.3573 5.0069
O 8.7878 1.5002 0.4793
O 8.7048 1.4002 3.0086
O 6.3148 -6.2586 1.5580
O 7.2913 -0.1117 1.5580
O 1.8888 0.4711 3.0086
O 1.9339 0.3492 0.4793
O 7.7826 -2.7652 5.0069
O 4.3641 6.8604 0.4793
O 4.4922 6.8385 3.0086
O 6.4121 -4.3141 3.5593
O 6.3098 -4.4040 6.0884
O 1.4797 -2.3395 1.5580
O 3.5320 -0.5873 5.0069
O 4.6433 4.6246 1.7264
O 3.3818 3.4621 4.8695
O 3.0883 -3.2624 6.0884
O 3.1151 -3.3960 3.5593
O 6.3360 4.0500 4.8695
O 3.7305 1.7089 1.7264
O 6.7120 2.3762 1.7264
O 5.3680 1.1977 4.8695
O 5.5586 -0.9997 3.5593
O 5.6877 -1.0433 6.0884
F 4.3969 -4.5562 1.4372
F 5.6701 -7.0666 5.1318
F 8.3134 -0.2661 5.1318
F 6.7759 -2.6239 1.4372
F 1.1023 -1.3771 5.1318
F 3.9130 -1.5297 1.4372
```

Entry 5:
A plane-wave DFT calculation with PBE with a Hubbard U was carried out for crystalline Fe2C3O9 at its relaxed geometry. Values from VASP.

**MP2020-corrected energy**: -8.054 eV per atom
**Volume**: 12.39 Å³/atom
**VASP energy**: -7.2901 eV/atom

Geometry as Quantum ESPRESSO input:
```
&SYSTEM
  ibrav = 0, nat = 28, ntyp = 3
/
ATOMIC_SPECIES
Fe 55.84 Fe.upf
C 12.01 C.upf
O 16.00 O.upf
CELL_PARAMETERS angstrom
5.2296 2.5943 -4.9153
-6.8815 2.5358 -2.1104
1.6027 2.6479 6.9756
ATOMIC_POSITIONS angstrom
Fe 2.8182 1.9616 -1.5570
Fe -0.0902 1.9739 3.2109
Fe -0.0226 3.5706 -0.0230
Fe -2.7650 1.9255 -1.6916
C 1.6651 3.6130 4.9261
C 3.4197 3.5669 -3.9592
C 2.3378 4.7239 -0.6576
C -0.6704 4.7242 2.3337
C -1.7567 4.6909 -1.7670
C -5.1525 3.5315 -1.0358
O 2.9237 3.6019 4.6850
O 3.6501 2.5155 -3.2327
O 0.9366 2.5498 4.7669
O 1.6217 2.0387 0.2657
O 3.4426 5.4411 -0.7797
O 2.0820 3.8262 -1.5656
O 1.5357 4.8813 0.3041
O 2.5817 3.5379 -4.9284
O 0.2573 3.8413 2.5698
O -0.5887 2.0130 -1.5680
O -1.0715 2.0281 1.2632
O -1.1279 5.4388 3.3485
O -0.5234 4.8563 -1.5556
O -1.1046 4.8701 1.1575
O -2.4117 3.8009 -1.0780
O -2.4176 5.3919 -2.6736
O -5.5728 3.5192 0.1749
O -4.6344 2.4737 -1.5826
```

Entry 6:
A plane-wave DFT calculation with PBE with a Hubbard U was carried out for crystalline LiFe4P4O16 at its relaxed geometry. Values from VASP.

**MP2020-corrected energy**: -7.800 eV per atom
**Distance to the lowest polymorph of the same formula**: 14 meV/atom
**Volume**: 11.01 Å³/atom
**VASP energy**: -6.9996 eV/atom

Geometry as Quantum ESPRESSO input:
```
&SYSTEM
  ibrav = 0, nat = 25, ntyp = 4
/
ATOMIC_SPECIES
Li 6.94 Li.upf
Fe 55.84 Fe.upf
P 30.97 P.upf
O 16.00 O.upf
CELL_PARAMETERS angstrom
-2.6707 4.0326 6.3890
2.6707 -4.0326 6.3890
2.6707 4.0326 -6.3890
ATOMIC_POSITIONS angstrom
Li 0.0000 2.6287 0.0000
Fe 2.6707 4.0179 -4.7226
Fe 2.6707 4.0319 1.5700
Fe 2.6707 4.0319 -1.5700
Fe 2.6707 4.0180 4.7226
P 2.6707 1.2248 0.0000
P 0.0000 5.3184 0.0000
P 2.6707 -1.2272 3.1673
P 0.0000 2.8054 3.2217
O 2.6707 2.0821 1.2595
O 0.0000 6.1639 1.2638
O 0.0000 1.9237 8.3296
O 0.0000 1.9822 1.9019
O 2.6707 2.0821 -1.2595
O 2.6707 2.1313 5.1252
O 2.6707 -2.0504 4.4871
O 0.0000 1.9237 4.4485
O 1.3580 0.3354 0.0000
O 1.4459 0.2856 6.3890
O 1.3930 -0.3035 3.1673
O -1.2778 3.7290 3.2218
O 3.9485 -0.3035 3.1673
O 1.2778 3.7290 3.2218
O 3.9835 0.3354 0.0000
O 1.2248 4.3182 0.0000
```

Entry 7:
A plane-wave DFT calculation with PBE with a Hubbard U was carried out for crystalline Li2NiP4O12 at its relaxed geometry. Values from VASP.

**MP2020-corrected energy**: -7.252 eV per atom
**Distance to the lowest polymorph of the same formula**: 58 meV/atom
**Volume**: 11.87 Å³/atom
**VASP energy**: -6.6843 eV/atom

Geometry as Quantum ESPRESSO input:
```
&SYSTEM
  ibrav = 0, nat = 19, ntyp = 4
/
ATOMIC_SPECIES
Li 6.94 Li.upf
Ni 58.69 Ni.upf
P 30.97 P.upf
O 16.00 O.upf
CELL_PARAMETERS angstrom
4.9281 0.0000 0.0000
-2.4450 6.6828 0.0000
-1.0531 -3.0860 6.8486
ATOMIC_POSITIONS angstrom
Li 1.2119 3.3558 3.8067
Li 0.2180 0.2411 3.0418
Ni 0.0000 0.0000 0.0000
P -0.3925 4.7497 1.4516
P 2.9303 2.0251 1.4772
P -1.5004 1.5718 5.3713
P 1.8225 -1.1528 5.3970
O 0.6855 4.7544 2.4606
O -0.7782 1.5135 6.8250
O 2.7709 -2.3364 5.4401
O -1.2994 3.4485 1.5748
O -2.5756 2.6397 5.4240
O -0.4574 1.6677 4.3244
O 1.8874 1.9292 2.5242
O 4.0056 0.9571 1.4245
O 2.7294 0.1484 5.2738
O -1.3410 5.9332 1.4085
O 2.2082 2.0834 0.0235
O 0.7445 -1.1576 4.3879
```

Entry 8:
A plane-wave DFT calculation with PBE with a Hubbard U was carried out for crystalline Na3Mn2P2C2O14 at its relaxed geometry. Values from VASP.

**MP2020-corrected energy**: -7.497 eV per atom
**Distance to the lowest polymorph of the same formula**: 7 meV/atom
**Volume**: 13.40 Å³/atom
**VASP energy**: -6.9340 eV/atom

Geometry as Quantum ESPRESSO input:
```
&SYSTEM
  ibrav = 0, nat = 46, ntyp = 5
/
ATOMIC_SPECIES
Na 22.99 Na.upf
Mn 54.94 Mn.upf
P 30.97 P.upf
C 12.01 C.upf
O 16.00 O.upf
CELL_PARAMETERS angstrom
6.5861 0.0000 0.0000
0.0000 10.2826 0.0000
0.0000 5.0066 9.1047
ATOMIC_POSITIONS angstrom
Na 6.5083 12.7937 9.0603
Na 3.3425 12.7864 9.0049
Na 3.4833 10.2613 4.4840
Na 3.2152 2.4955 0.0444
Na 0.0494 2.5027 0.0998
Na 0.1903 5.0278 4.6207
Mn 1.5995 10.7655 7.3964
Mn 1.6062 8.3036 2.9218
Mn 4.8925 4.5236 1.7082
Mn 4.8992 6.9855 6.1828
P 4.9128 9.9863 7.4766
P 4.9356 7.5221 2.8915
P 1.6198 5.3028 1.6281
P 1.6425 7.7670 6.2132
C 1.6656 12.7475 5.9365
C 1.6632 10.2578 1.4186
C 4.9587 2.5417 3.1682
C 4.9562 5.0314 7.6860
O 4.9670 11.8187 3.8756
O 4.9429 14.3084 8.4258
O 1.6117 12.7711 7.2712
O 1.6819 10.2963 2.7265
O 1.7036 11.5001 5.5078
O 1.6522 9.0138 0.9676
O 6.1391 10.9249 7.4119
O 3.6805 10.9228 7.3942
O 6.1626 8.4246 2.6605
O 3.6932 8.4349 2.8089
O 4.8764 6.4886 1.6933
O 1.6193 6.1224 0.3031
O 4.8751 8.9630 6.2961
O 1.7246 8.5627 4.8918
O 4.9123 9.1667 8.8015
O 1.5834 8.8005 7.4114
O 5.0176 6.7265 4.2129
O 1.5820 6.3262 2.8085
O 2.8460 4.3642 1.6927
O 0.3875 4.3663 1.7105
O 2.8695 6.8645 6.4442
O 0.4002 6.8542 6.2957
O 4.9966 3.7890 3.5969
O 4.9452 6.2753 8.1371
O 4.9047 2.5180 1.8335
O 4.9750 4.9928 6.3782
O 1.6739 3.4704 5.2291
O 1.6498 0.9807 0.6789
```

Entry 9:
A plane-wave DFT calculation with PBE with a Hubbard U was carried out for crystalline Li5Fe4Si6O20 at its relaxed geometry. Values from VASP.

**MP2020-corrected energy**: -7.626 eV per atom
**Volume**: 12.40 Å³/atom
**VASP energy**: -6.9754 eV/atom

Geometry as Quantum ESPRESSO input:
```
&SYSTEM
  ibrav = 0, nat = 35, ntyp = 4
/
ATOMIC_SPECIES
Li 6.94 Li.upf
Fe 55.84 Fe.upf
Si 28.09 Si.upf
O 16.00 O.upf
CELL_PARAMETERS angstrom
5.4315 0.0000 0.0000
-2.6772 4.7424 0.0000
-1.4252 -0.8736 16.8459
ATOMIC_POSITIONS angstrom
Li 1.0905 1.3860 12.9638
Li 1.1929 1.1919 7.4553
Li 0.0951 2.6788 9.3145
Li 0.2212 2.5316 4.1627
Li 0.3907 3.9735 0.8005
Fe 0.1450 -0.4908 9.7633
Fe 0.4514 0.7744 1.3728
Fe 0.9510 3.0529 15.3705
Fe 3.7438 -0.3539 6.9129
Si -1.4087 -0.0065 12.6210
Si 2.8602 1.0457 10.1459
Si -1.6728 1.4087 15.1917
Si 3.1270 2.3728 1.6394
Si -1.6010 2.8732 6.8186
Si 2.7526 3.8759 4.1949
O -0.1223 -0.1195 11.6460
O 0.3782 0.4668 3.3181
O 2.7453 0.6784 11.7763
O 2.1573 1.6293 15.0085
O 3.6529 -0.2207 9.4276
O -1.3949 0.0559 16.1006
O 1.3239 1.1085 9.5588
O 2.3674 1.0198 1.1148
O 2.9881 1.4919 6.8931
O -0.9323 1.1192 13.7376
O 2.6308 2.5699 3.1831
O -1.7846 2.4672 9.9391
O -0.8780 2.6830 15.8061
O -0.0577 2.6890 7.3424
O 2.5832 3.7165 0.8306
O -2.3769 4.0946 7.6584
O -0.6573 2.3691 1.5584
O -1.4478 3.4366 5.2379
O 0.8719 3.4064 13.4202
O 1.3472 3.9334 4.9664
```

Entry 10:
A plane-wave DFT calculation with PBE with a Hubbard U was carried out for crystalline Ba2MgV2Si4O14 at its relaxed geometry. Values from VASP.

**MP2020-corrected energy**: -8.046 eV per atom
**Distance to the lowest polymorph of the same formula**: 0 meV/atom
**Volume**: 13.99 Å³/atom
**VASP energy**: -7.4802 eV/atom

Geometry as Quantum ESPRESSO input:
```
&SYSTEM
  ibrav = 0, nat = 23, ntyp = 5
/
ATOMIC_SPECIES
Ba 137.33 Ba.upf
Mg 24.30 Mg.upf
V 50.94 V.upf
Si 28.09 Si.upf
O 16.00 O.upf
CELL_PARAMETERS angstrom
3.1792 4.0913 2.1558
-2.5376 5.1721 -4.6536
-7.3607 -0.6109 3.9194
ATOMIC_POSITIONS angstrom
Ba -3.9359 6.7382 0.7670
Ba -3.2533 1.9991 1.1219
Mg -2.9830 3.3148 -2.2119
V -2.7077 5.5727 -3.7653
V -3.6248 4.5086 3.9297
Si -6.0746 3.9508 1.6922
Si -0.9731 4.7564 0.0669
Si -7.0859 6.1371 -0.5173
Si 0.4667 2.7395 2.1514
O -6.1866 2.3901 1.2569
O -2.3022 4.0198 -0.4646
O -5.0093 0.2579 2.7303
O -3.1757 6.7441 -2.1954
O 0.2277 5.0179 -1.0508
O -1.1048 7.1000 -3.5899
O -9.0923 3.4194 0.3764
O -0.6689 1.1367 -0.7790
O -6.2847 4.9425 0.3422
O -0.3551 3.9346 1.3837
O -4.5391 4.3255 2.1482
O -1.2070 6.2378 0.6970
O -3.6001 2.2521 3.8994
O -1.2666 8.5275 -1.2420
```

Entry 11:
A plane-wave DFT calculation with PBE with a Hubbard U was carried out for crystalline FeOF at its relaxed geometry. Values from VASP.

**MP2020-corrected energy**: -7.130 eV per atom
**Volume**: 11.60 Å³/atom
**VASP energy**: -5.9946 eV/atom

Geometry as Quantum ESPRESSO input:
```
&SYSTEM
  ibrav = 0, nat = 36, ntyp = 3
/
ATOMIC_SPECIES
Fe 55.84 Fe.upf
O 16.00 O.upf
F 19.00 F.upf
CELL_PARAMETERS angstrom
3.0872 0.0000 0.0000
0.0000 9.4881 0.0000
0.0000 0.0279 14.2596
ATOMIC_POSITIONS angstrom
Fe 0.0000 0.1136 14.1649
Fe 0.0000 4.7253 14.1856
Fe 1.5436 2.4415 12.1339
Fe 1.5436 7.1137 12.1477
Fe 0.0000 0.0740 9.4392
Fe 0.0000 4.7361 9.3914
Fe 1.5436 6.8403 7.1303
Fe 1.5436 2.3910 7.3308
Fe 0.0000 9.4345 4.6630
Fe 0.0000 4.8941 4.7148
Fe 1.5436 2.4113 2.0791
Fe 1.5436 7.1266 2.5554
O 1.5436 3.9233 13.3266
O 1.5436 8.6189 13.3461
O 0.0000 1.4689 12.7233
O 0.0000 6.2310 12.8274
O 1.5436 3.8123 8.5593
O 0.0000 1.3953 8.0840
O 0.0000 6.2791 8.0762
O 1.5436 5.6103 5.6503
O 1.5436 8.6153 3.8696
O 0.0000 6.1838 3.2749
O 0.0000 3.3761 1.4518
O 1.5436 0.8965 0.8958
F 0.0000 3.2783 10.9390
F 0.0000 8.1261 10.8679
F 1.5436 0.9134 10.4008
F 1.5436 5.6932 10.4538
F 1.5436 8.5776 8.6047
F 0.0000 3.2224 6.1874
F 0.0000 8.1188 6.2189
F 1.5436 0.9352 5.6542
F 1.5436 3.7489 3.8582
F 0.0000 1.4592 3.3125
F 0.0000 8.0182 1.4822
F 1.5436 5.7685 0.9322
```

Which of these has the lowest volume? Li5CrP2O8F2